Record 1
DFT (PBE) results for LiEuGe2 after structural relaxation.

ΔE_f	-2.32	eV per formula unit

Lattice parameters (Å, degrees): 7.962 4.001 10.888 90.00 90.00 90.00
Positions (direct):
Li  0.003  0.250  0.113
Li  0.497  0.750  0.613
Li  0.503  0.250  0.387
Li  0.997  0.750  0.887
Eu  0.136  0.750  0.366
Eu  0.364  0.250  0.866
Eu  0.636  0.750  0.134
Eu  0.864  0.250  0.634
Ge  0.164  0.750  0.680
Ge  0.223  0.750  0.065
Ge  0.277  0.250  0.565
Ge  0.336  0.250  0.180
Ge  0.664  0.750  0.820
Ge  0.723  0.750  0.435
Ge  0.777  0.250  0.935
Ge  0.836  0.250  0.320

***

Record 2
DFT (PBE) results for Na2TaInSi2SO12 after structural relaxation.

MP2020-corrected energy	-7.42	eV/atom
ΔE_f	-49.36	eV per formula unit

Lattice parameters (Å, degrees): 9.026 9.026 22.815 89.41 90.59 119.17
Positions (direct):
Na  0.979  0.620  0.249
Na  0.380  0.021  0.749
Na  0.645  0.953  0.583
Na  0.047  0.355  0.083
Na  0.312  0.287  0.916
Na  0.713  0.688  0.416
Na  0.008  0.987  0.494
Na  0.013  0.992  0.994
Na  0.674  0.320  0.828
Na  0.680  0.326  0.328
Na  0.341  0.653  0.161
Na  0.347  0.659  0.661
Ta  0.999  0.002  0.646
Ta  0.998  0.001  0.146
Ta  0.665  0.336  0.979
Ta  0.664  0.335  0.479
Ta  0.332  0.669  0.313
Ta  0.331  0.668  0.813
In  0.986  0.996  0.351
In  0.004  0.014  0.851
In  0.653  0.330  0.684
In  0.670  0.347  0.184
In  0.319  0.663  0.018
In  0.337  0.681  0.518
Si  0.703  0.708  0.252
Si  0.002  0.294  0.250
Si  0.292  0.297  0.752
Si  0.706  0.998  0.750
Si  0.369  0.041  0.585
Si  0.669  0.628  0.583
Si  0.959  0.631  0.085
Si  0.372  0.331  0.083
Si  0.036  0.375  0.918
Si  0.335  0.961  0.917
Si  0.625  0.964  0.418
Si  0.039  0.665  0.417
S  0.289  0.998  0.250
S  0.002  0.711  0.750
S  0.956  0.331  0.584
S  0.669  0.044  0.084
S  0.623  0.665  0.917
S  0.335  0.377  0.417
O  0.218  0.023  0.303
O  0.818  0.775  0.310
O  0.992  0.194  0.308
O  0.225  0.182  0.810
O  0.977  0.782  0.803
O  0.806  0.008  0.808
O  0.802  0.974  0.690
O  0.161  0.186  0.695
O  0.028  0.824  0.698
O  0.814  0.839  0.195
O  0.026  0.198  0.190
O  0.176  0.972  0.198
O  0.884  0.356  0.637
O  0.485  0.108  0.643
O  0.659  0.527  0.641
O  0.892  0.515  0.143
O  0.644  0.116  0.137
O  0.473  0.341  0.141
O  0.469  0.308  0.024
O  0.828  0.519  0.029
O  0.694  0.157  0.031
O  0.481  0.172  0.529
O  0.692  0.531  0.524
O  0.843  0.306  0.531
O  0.551  0.690  0.970
O  0.151  0.441  0.977
O  0.326  0.860  0.975
O  0.559  0.849  0.477
O  0.310  0.449  0.470
O  0.140  0.674  0.475
O  0.136  0.641  0.357
O  0.495  0.852  0.362
O  0.361  0.490  0.364
O  0.148  0.505  0.862
O  0.359  0.864  0.857
O  0.510  0.639  0.864
O  0.013  0.830  0.412
O  0.815  0.990  0.413
O  0.200  0.204  0.409
O  0.010  0.185  0.913
O  0.170  0.987  0.912
O  0.796  0.800  0.909
O  0.956  0.163  0.587
O  0.183  0.035  0.592
O  0.841  0.824  0.590
O  0.965  0.817  0.092
O  0.837  0.044  0.087
O  0.176  0.159  0.090
O  0.680  0.163  0.745
O  0.481  0.323  0.747
O  0.866  0.538  0.742
O  0.677  0.519  0.247
O  0.837  0.320  0.245
O  0.462  0.134  0.242
O  0.623  0.496  0.920
O  0.849  0.368  0.925
O  0.508  0.157  0.924
O  0.632  0.151  0.425
O  0.504  0.377  0.420
O  0.843  0.492  0.424
O  0.346  0.497  0.078
O  0.148  0.656  0.080
O  0.533  0.871  0.075
O  0.344  0.852  0.580
O  0.503  0.654  0.578
O  0.129  0.467  0.575
O  0.290  0.829  0.254
O  0.516  0.702  0.258
O  0.174  0.491  0.257
O  0.298  0.484  0.758
O  0.171  0.710  0.754
O  0.509  0.826  0.757

***

Record 3
DFT (PBE) results for BaCaCeNbO6 after structural relaxation.

MP2020-corrected energy	-8.22	eV/atom
polymorph energy (0 for the lowest one)	0.093	eV/atom
ΔE_f	-32.54	eV per formula unit

Lattice parameters (Å, degrees): 6.074 6.074 6.074 60.00 60.00 60.00
Positions (direct):
Ba  0.000  0.000  0.000
Ca  0.500  0.500  0.500
Ce  0.750  0.750  0.750
Nb  0.250  0.250  0.250
O  0.013  0.013  0.487
O  0.013  0.487  0.013
O  0.013  0.487  0.487
O  0.487  0.013  0.013
O  0.487  0.013  0.487
O  0.487  0.487  0.013

***

Record 4
DFT (PBE) results for YMg2Mo3S8 after structural relaxation.

MP2020-corrected energy	-6.56	eV/atom
ΔE_f	-16.56	eV per formula unit

Lattice parameters (Å, degrees): 7.504 7.504 7.504 60.73 60.73 60.73
Positions (direct):
Y  0.000  0.000  0.000
Mg  0.376  0.376  0.376
Mg  0.624  0.624  0.624
Mo  0.000  0.000  0.500
Mo  0.000  0.500  0.000
Mo  0.500  0.000  0.000
S  0.226  0.747  0.747
S  0.238  0.238  0.238
S  0.253  0.253  0.774
S  0.253  0.774  0.253
S  0.747  0.226  0.747
S  0.747  0.747  0.226
S  0.762  0.762  0.762
S  0.774  0.253  0.253

***

Record 5
DFT (PBE) results for KCN after structural relaxation.

MP2020-corrected energy	-5.77	eV/atom
polymorph energy (0 for the lowest one)	0.844	eV/atom
ΔE_f	1.37	eV per formula unit

Lattice parameters (Å, degrees): 3.976 3.976 4.928 95.10 95.10 35.60
Positions (direct):
K  0.000  0.000  0.000
C  0.739  0.739  0.437
N  0.255  0.255  0.591

***

Record 6
DFT (PBE) results for LiO after structural relaxation.

MP2020-corrected energy	-5.08	eV/atom
polymorph energy (0 for the lowest one)	0.000	eV/atom
ΔE_f	-3.30	eV per formula unit

Lattice parameters (Å, degrees): 3.180 3.180 7.704 90.00 90.00 120.00
Positions (direct):
Li  0.000  0.000  0.000
Li  0.000  0.000  0.500
Li  0.333  0.667  0.250
Li  0.667  0.333  0.750
O  0.333  0.667  0.649
O  0.333  0.667  0.851
O  0.667  0.333  0.149
O  0.667  0.333  0.351